# Cs2ErCl5 GGA-PBE relaxed
# energy of formation = -2.58 eV per atom
# mass density = 3.5 g/cm³
# electronic total energy = -4.145 eV per atom
data_Cs2ErCl5
_cell_length_a 9.759
_cell_length_b 7.549
_cell_length_c 15.547
_cell_angle_alpha 90.00
_cell_angle_beta 90.00
_cell_angle_gamma 90.00
_space_group_name_H-M_alt 'P n m a'
_space_group_IT_number 62
_space_group_name_Hall '-P 2ac 2n'
loop_
_atom_site_label
_atom_site_type_symbol
_atom_site_fract_x
_atom_site_fract_y
_atom_site_fract_z
Cs1 Cs 0.024 0.250 0.212
Cs2 Cs 0.165 0.750 0.417
Er1 Er 0.175 0.750 0.064
Cl1 Cl 0.000 0.000 0.000
Cl2 Cl 0.022 0.750 0.199
Cl3 Cl 0.170 0.001 0.617
Cl4 Cl 0.215 0.250 0.410

***

# MgCN2 GGA-PBE relaxed
# energy of formation = -0.27 eV per atom
# mass density = 3.4 g/cm³
# electronic total energy = -6.961 eV per atom
data_MgCN2
_cell_length_a 4.491
_cell_length_b 4.491
_cell_length_c 6.178
_cell_angle_alpha 90.00
_cell_angle_beta 90.00
_cell_angle_gamma 90.00
_space_group_name_H-M_alt 'I -4 2 d'
_space_group_IT_number 122
_space_group_name_Hall 'I -4 2bw'
loop_
_atom_site_label
_atom_site_type_symbol
_atom_site_fract_x
_atom_site_fract_y
_atom_site_fract_z
Mg1 Mg 0.000 0.000 0.000
C1 C 0.000 0.000 0.500
N1 N 0.147 0.750 0.625

***

# Hg4Sb2I3 GGA-PBE relaxed
# energy of formation = -0.31 eV per atom
# mass density = 7.0 g/cm³
# electronic total energy = -1.744 eV per atom
data_Hg4Sb2I3
_cell_length_a 13.911
_cell_length_b 13.911
_cell_length_c 13.911
_cell_angle_alpha 90.00
_cell_angle_beta 90.00
_cell_angle_gamma 90.00
_space_group_name_H-M_alt 'P a -3'
_space_group_IT_number 205
_space_group_name_Hall '-P 2ac 2ab 3'
loop_
_atom_site_label
_atom_site_type_symbol
_atom_site_fract_x
_atom_site_fract_y
_atom_site_fract_z
Hg1 Hg 0.006 0.249 0.029
Hg2 Hg 0.222 0.722 0.778
Sb1 Sb 0.059 0.059 0.059
Sb2 Sb 0.108 0.608 0.892
I1 I 0.068 0.237 0.316

***

# RbMg14BiO16 GGA-PBE relaxed
# excess energy over the best structure of this formula in the dataset = 26 meV/atom
# energy of formation = -2.60 eV per atom
# mass density = 4.1 g/cm³
# electronic total energy = -5.586 eV per atom
data_RbMg14BiO16
_cell_length_a 4.529
_cell_length_b 8.751
_cell_length_c 9.014
_cell_angle_alpha 90.00
_cell_angle_beta 90.00
_cell_angle_gamma 90.00
_space_group_name_H-M_alt 'P m m m'
_space_group_IT_number 47
_space_group_name_Hall '-P 2 2'
loop_
_atom_site_label
_atom_site_type_symbol
_atom_site_fract_x
_atom_site_fract_y
_atom_site_fract_z
Rb1 Rb 0.000 0.000 0.000
Mg1 Mg 0.000 0.261 0.242
Mg2 Mg 0.000 0.500 0.000
Mg3 Mg 0.000 0.500 0.500
Mg4 Mg 0.500 0.000 0.235
Mg5 Mg 0.500 0.256 0.000
Mg6 Mg 0.500 0.264 0.500
Mg7 Mg 0.500 0.500 0.247
Bi1 Bi 0.000 0.000 0.500
O1 O 0.000 0.000 0.259
O2 O 0.000 0.270 0.500
O3 O 0.000 0.282 0.000
O4 O 0.000 0.500 0.255
O5 O 0.500 0.000 0.000
O6 O 0.500 0.000 0.500
O7 O 0.500 0.251 0.251
O8 O 0.500 0.500 0.000
O9 O 0.500 0.500 0.500

***

# KFeCl3 GGA-PBE relaxed
# energy of formation = -1.58 eV per atom
# mass density = 2.7 g/cm³
# electronic total energy = -4.236 eV per atom
data_KFeCl3
_cell_length_a 8.862
_cell_length_b 3.891
_cell_length_c 14.296
_cell_angle_alpha 90.00
_cell_angle_beta 90.00
_cell_angle_gamma 90.00
_space_group_name_H-M_alt 'P n m a'
_space_group_IT_number 62
_space_group_name_Hall '-P 2ac 2n'
loop_
_atom_site_label
_atom_site_type_symbol
_atom_site_fract_x
_atom_site_fract_y
_atom_site_fract_z
K1 K 0.057 0.250 0.172
Fe1 Fe 0.162 0.750 0.448
Cl1 Cl 0.020 0.750 0.596
Cl2 Cl 0.183 0.750 0.006
Cl3 Cl 0.232 0.250 0.797

***

# Ba4PrYCu6O14 GGA-PBE relaxed
# excess energy over the best structure of this formula in the dataset = 10 meV/atom
# energy of formation = -2.16 eV per atom
# mass density = 6.3 g/cm³
# electronic total energy = -6.129 eV per atom
data_Ba4PrYCu6O14
_cell_length_a 3.904
_cell_length_b 3.904
_cell_length_c 23.916
_cell_angle_alpha 90.00
_cell_angle_beta 90.00
_cell_angle_gamma 90.00
_space_group_name_H-M_alt 'P -4 m 2'
_space_group_IT_number 115
_space_group_name_Hall 'P -4 -2'
loop_
_atom_site_label
_atom_site_type_symbol
_atom_site_fract_x
_atom_site_fract_y
_atom_site_fract_z
Ba1 Ba 0.000 0.000 0.159
Ba2 Ba 0.000 0.000 0.340
Pr1 Pr 0.000 0.000 0.500
Y1 Y 0.000 0.000 0.000
Cu1 Cu 0.500 0.500 0.073
Cu2 Cu 0.500 0.500 0.249
Cu3 Cu 0.500 0.500 0.422
O1 O 0.000 0.500 0.060
O2 O 0.000 0.500 0.249
O3 O 0.000 0.500 0.436
O4 O 0.000 0.500 0.566
O5 O 0.000 0.500 0.939
O6 O 0.500 0.500 0.171
O7 O 0.500 0.500 0.328

***

# Ti2N2O GGA-PBE relaxed
# energy of formation = -1.99 eV per atom
# mass density = 4.3 g/cm³
# electronic total energy = -9.334 eV per atom
data_Ti2N2O
_cell_length_a 8.193
_cell_length_b 8.221
_cell_length_c 8.235
_cell_angle_alpha 109.54
_cell_angle_beta 109.40
_cell_angle_gamma 109.30
_space_group_name_H-M_alt 'P 1'
_space_group_IT_number 1
_space_group_name_Hall 'P 1'
loop_
_atom_site_label
_atom_site_type_symbol
_atom_site_fract_x
_atom_site_fract_y
_atom_site_fract_z
Ti1 Ti 0.000 0.000 0.000
Ti2 Ti 0.007 0.492 0.502
Ti3 Ti 0.047 0.695 0.242
Ti4 Ti 0.218 0.168 0.452
Ti5 Ti 0.260 0.465 0.219
Ti6 Ti 0.269 0.955 0.707
Ti7 Ti 0.302 0.745 0.956
Ti8 Ti 0.466 0.207 0.168
Ti9 Ti 0.491 0.907 0.407
Ti10 Ti 0.516 0.420 0.910
Ti11 Ti 0.547 0.707 0.750
Ti12 Ti 0.715 0.664 0.465
Ti13 Ti 0.744 0.955 0.198
Ti14 Ti 0.758 0.466 0.705
Ti15 Ti 0.795 0.253 0.962
Ti16 Ti 0.970 0.216 0.662
N1 N 0.021 0.445 0.245
N2 N 0.033 0.490 0.757
N3 N 0.243 0.679 0.155
N4 N 0.263 0.227 0.252
N5 N 0.295 0.724 0.697
N6 N 0.306 0.966 0.483
N7 N 0.480 0.688 0.478
N8 N 0.481 0.413 0.657
N9 N 0.521 0.680 0.984
N10 N 0.528 0.179 0.937
N11 N 0.531 0.006 0.215
N12 N 0.714 0.409 0.432
N13 N 0.750 0.997 0.977
N14 N 0.796 0.507 0.983
N15 N 0.812 0.735 0.748
N16 N 0.992 0.228 0.432
O1 O 0.028 0.217 0.928
O2 O 0.205 0.948 0.930
O3 O 0.210 0.189 0.717
O4 O 0.491 0.465 0.165
O5 O 0.712 0.180 0.668
O6 O 0.764 0.914 0.442
O7 O 0.979 0.732 0.472
O8 O 0.982 0.904 0.194

***

# LiRe3N6 GGA-PBE relaxed
# energy of formation = 0.03 eV per atom
# mass density = 10.2 g/cm³
# electronic total energy = -8.678 eV per atom
data_LiRe3N6
_cell_length_a 4.842
_cell_length_b 5.004
_cell_length_c 9.934
_cell_angle_alpha 90.00
_cell_angle_beta 118.18
_cell_angle_gamma 90.00
_space_group_name_H-M_alt 'P 1 21/c 1'
_space_group_IT_number 14
_space_group_name_Hall '-P 2ybc'
loop_
_atom_site_label
_atom_site_type_symbol
_atom_site_fract_x
_atom_site_fract_y
_atom_site_fract_z
Li1 Li 0.000 0.000 0.000
Re1 Re 0.191 0.110 0.750
Re2 Re 0.500 0.000 0.500
N1 N 0.084 0.189 0.401
N2 N 0.204 0.699 0.387
N3 N 0.485 0.106 0.294

***

# Nb2CrSe4 GGA-PBE relaxed
# excess energy over the best structure of this formula in the dataset = 0 meV/atom
# energy of formation = -1.00 eV per atom
# mass density = 6.6 g/cm³
# electronic total energy = -6.998 eV per atom
data_Nb2CrSe4
_cell_length_a 13.717
_cell_length_b 3.535
_cell_length_c 6.390
_cell_angle_alpha 90.00
_cell_angle_beta 115.72
_cell_angle_gamma 90.00
_space_group_name_H-M_alt 'C 1 2/m 1'
_space_group_IT_number 12
_space_group_name_Hall '-C 2y'
loop_
_atom_site_label
_atom_site_type_symbol
_atom_site_fract_x
_atom_site_fract_y
_atom_site_fract_z
Nb1 Nb 0.243 0.000 0.179
Cr1 Cr 0.000 0.500 0.500
Se1 Se 0.100 0.500 0.946
Se2 Se 0.136 0.000 0.476

***

# HfCrAgS4 GGA-PBE relaxed
# excess energy over the best structure of this formula in the dataset = 0 meV/atom
# energy of formation = -1.23 eV per atom
# mass density = 5.4 g/cm³
# electronic total energy = -6.514 eV per atom
data_HfCrAgS4
_cell_length_a 7.432
_cell_length_b 7.536
_cell_length_c 10.310
_cell_angle_alpha 90.00
_cell_angle_beta 90.00
_cell_angle_gamma 90.00
_space_group_name_H-M_alt 'I 21 21 21'
_space_group_IT_number 24
_space_group_name_Hall 'I 2b 2c'
loop_
_atom_site_label
_atom_site_type_symbol
_atom_site_fract_x
_atom_site_fract_y
_atom_site_fract_z
Hf1 Hf 0.009 0.000 0.250
Cr1 Cr 0.250 0.252 0.500
Ag1 Ag 0.000 0.250 0.892
S1 S 0.001 0.039 0.496
S2 S 0.234 0.254 0.261